[1]
Material: NaCuP3O9
Method: DFT, PBE-GGA
State: optimized geometry

a b c (Å): 9.7118 9.7265 9.7876
angles (deg): 106.83 105.58 111.87
Closest atoms and distances in Å follow each position.
Fractional positions:
P: 0.2180 0.9600 0.8464  4 O 1.49-1.63
P: 0.3433 0.5753 0.7100  4 O 1.49-1.63
P: 0.8511 0.4897 0.0983  4 O 1.49-1.61
P: 0.5682 0.6892 0.4092  4 O 1.49-1.62
P: 0.9165 0.8164 0.0812  4 O 1.50-1.62
P: 0.4318 0.3108 0.5908  4 O 1.49-1.62
P: 0.0835 0.1836 0.9188  4 O 1.50-1.62
P: 0.1489 0.5103 0.9017  4 O 1.49-1.61
P: 0.6567 0.4247 0.2900  4 O 1.49-1.63
P: 0.6010 0.9839 0.3519  4 O 1.51-1.60
P: 0.7820 0.0400 0.1536  4 O 1.49-1.63
P: 0.3990 0.0161 0.6481  4 O 1.51-1.60
O: 0.7019 0.4010 0.1394  2 P 1.61-1.63
O: 0.8209 0.3661 0.9460  1 P 1.49
O: 0.6367 0.8390 0.3622  2 P 1.60-1.61
O: 0.3909 0.4317 0.7046  2 P 1.62
O: 0.2713 0.8580 0.5029  1 P 1.51
O: 0.5113 0.2671 0.2477  1 P 1.49
O: 0.4253 0.9416 0.3176  1 P 1.51
O: 0.1791 0.6339 0.0540  1 P 1.49
O: 0.8071 0.4886 0.4353  1 P 1.50
O: 0.1929 0.5114 0.5647  1 P 1.50
O: 0.4887 0.7329 0.7523  1 P 1.49
O: 0.0961 0.9043 0.1939  1 P 1.52
O: 0.6788 0.7457 0.5795  1 P 1.52
O: 0.2774 0.9733 0.0105  1 P 1.50
O: 0.6257 0.9888 0.1981  2 P 1.60-1.63
O: 0.7226 0.0267 0.9895  1 P 1.50
O: 0.3743 0.0112 0.8019  2 P 1.60-1.63
O: 0.9847 0.4394 0.7632  1 P 1.53
O: 0.0153 0.5606 0.2368  1 P 1.53
O: 0.7287 0.1420 0.4971  1 P 1.51
O: 0.8258 0.6382 0.0807  2 P 1.60-1.62
O: 0.9186 0.2019 0.2806  1 P 1.49
O: 0.0814 0.7981 0.7194  1 P 1.49
O: 0.8692 0.7988 0.9159  1 P 1.50
O: 0.2981 0.5990 0.8606  2 P 1.61-1.63
O: 0.8212 0.8939 0.1610  2 P 1.61-1.62
O: 0.6128 0.3826 0.6431  1 P 1.49
O: 0.9039 0.0957 0.8061  1 P 1.52
O: 0.5747 0.0584 0.6824  1 P 1.51
O: 0.3872 0.6174 0.3569  1 P 1.49
O: 0.3633 0.1610 0.6378  2 P 1.60-1.61
O: 0.1308 0.2012 0.0841  1 P 1.50
O: 0.6091 0.5683 0.2954  2 P 1.62
O: 0.3212 0.2543 0.4205  1 P 1.52
O: 0.1788 0.1061 0.8390  2 P 1.61-1.62
O: 0.1742 0.3618 0.9193  2 P 1.60-1.62
Cu: 0.2941 0.1025 0.2128  4 O 1.94-2.07
Cu: 0.2320 0.7460 0.2759  4 O 1.94-2.04
Cu: 0.7680 0.2540 0.7241  4 O 1.94-2.04
Cu: 0.7059 0.8975 0.7872  4 O 1.94-2.07
Na: 0.8283 0.6200 0.6854  5 O 2.24-2.43
Na: 0.1717 0.3800 0.3146  5 O 2.24-2.43
Na: 0.9336 0.3442 0.5063  5 O 2.17-2.31
Na: 0.0664 0.6558 0.4937  5 O 2.17-2.31

Values from the calculation:
Crystal system: triclinic
ΔE to the lowest computed polymorph (meV per atom): 7.5
Final energy (eV/f.u.): -93.2
Formation energy (eV/atom): -2.368
SG: P-1, No. 2

***

[2]
Material: Na2CuP2O7
Method: DFT, PBE-GGA
State: optimized geometry

a b c (Å): 7.9735 7.9735 8.1330
angles (deg): 66.97 66.97 42.95
Closest atoms and distances in Å follow each position.
Fractional positions:
O: 0.3140 0.8900 0.4915  1 P 1.54
O: 0.6754 0.6998 0.1016  1 P 1.51
O: 0.8900 0.3140 0.9915  1 P 1.54
O: 0.9414 0.2768 0.2997  1 P 1.56
O: 0.3246 0.3002 0.8984  1 P 1.51
O: 0.6998 0.6754 0.6016  1 P 1.51
O: 0.2768 0.9414 0.7997  1 P 1.56
O: 0.7232 0.0586 0.2003  1 P 1.56
O: 0.1100 0.6860 0.0085  1 P 1.54
O: 0.0586 0.7232 0.7003  1 P 1.56
O: 0.6860 0.1100 0.5085  1 P 1.54
O: 0.3002 0.3246 0.3984  1 P 1.51
O: 0.5235 0.4765 0.2500  2 P 1.63
O: 0.4765 0.5235 0.7500  2 P 1.63
P: 0.2333 0.5571 0.8438  4 O 1.51-1.63
P: 0.4429 0.7667 0.6562  4 O 1.51-1.63
P: 0.5571 0.2333 0.3438  4 O 1.51-1.63
P: 0.7667 0.4429 0.1562  4 O 1.51-1.63
Na: 0.0863 0.3700 0.7005  5 O 2.34-2.58
Na: 0.6300 0.9137 0.7995  5 O 2.34-2.58
Na: 0.9137 0.6300 0.2995  5 O 2.34-2.58
Na: 0.3700 0.0863 0.2005  5 O 2.34-2.58
Cu: 0.0000 0.0000 0.0000  4 O 1.93-2.00
Cu: 0.0000 0.0000 0.5000  4 O 1.93-2.00

Values from the calculation:
Crystal system: monoclinic
ΔE to the lowest computed polymorph (meV per atom): 0.0
Final energy (eV/f.u.): -76.0
Formation energy (eV/atom): -2.387
SG: C2/c, No. 15

***

[3]
Material: NaCuP2O7
Method: DFT, PBE-GGA
State: optimized geometry

a b c (Å): 13.8069 4.9716 10.0059
angles (deg): 62.43 90.00 90.00
Closest atoms and distances in Å follow each position.
Fractional positions:
O: 0.9413 0.7689 0.8199  1 P 1.57
O: 0.3093 0.0730 0.1215  1 P 1.49
O: 0.9337 0.5685 0.2079  1 P 1.49
O: 0.0640 0.3261 0.4131  2 P 1.63-1.64
O: 0.0663 0.4315 0.7921  1 P 1.49
O: 0.6907 0.9270 0.8785  1 P 1.49
O: 0.2751 0.5916 0.9051  1 P 1.56
O: 0.1907 0.0730 0.6215  1 P 1.49
O: 0.0587 0.2311 0.1801  1 P 1.57
O: 0.8093 0.9270 0.3785  1 P 1.49
O: 0.7789 0.8513 0.6492  1 P 1.56
O: 0.4360 0.3261 0.9131  2 P 1.63-1.64
O: 0.2789 0.1487 0.8508  1 P 1.56
O: 0.5587 0.7689 0.3199  1 P 1.57
O: 0.7249 0.4084 0.0949  1 P 1.56
O: 0.7751 0.4084 0.5949  1 P 1.56
O: 0.5663 0.5685 0.7079  1 P 1.49
O: 0.2211 0.1487 0.3508  1 P 1.56
O: 0.5640 0.6739 0.0869  2 P 1.63-1.64
O: 0.7211 0.8513 0.1492  1 P 1.56
O: 0.4413 0.2311 0.6801  1 P 1.57
O: 0.4337 0.4315 0.2921  1 P 1.49
O: 0.9360 0.6739 0.5869  2 P 1.63-1.64
O: 0.6131 0.2595 0.3452  1 P 1.57
O: 0.2249 0.5916 0.4051  1 P 1.56
O: 0.3869 0.7405 0.6548  1 P 1.57
O: 0.8869 0.2595 0.8452  1 P 1.57
O: 0.1131 0.7405 0.1548  1 P 1.57
P: 0.6789 0.7282 0.0437  4 O 1.49-1.63
P: 0.4627 0.4777 0.7330  4 O 1.49-1.64
P: 0.0373 0.4777 0.2330  4 O 1.49-1.64
P: 0.9627 0.5223 0.7670  4 O 1.49-1.64
P: 0.8211 0.7282 0.5437  4 O 1.49-1.63
P: 0.5373 0.5223 0.2670  4 O 1.49-1.64
P: 0.1789 0.2718 0.4563  4 O 1.49-1.63
P: 0.3211 0.2718 0.9563  4 O 1.49-1.63
Na: 0.8803 0.0840 0.1363  6 O 2.39-2.66
Na: 0.6197 0.0840 0.6363  6 O 2.39-2.66
Na: 0.1197 0.9160 0.8637  6 O 2.39-2.66
Na: 0.3803 0.9160 0.3637  6 O 2.39-2.66
Cu: 0.8406 0.0612 0.7376  4 O 1.86-1.90
Cu: 0.6594 0.0612 0.2376  4 O 1.86-1.90
Cu: 0.3406 0.9388 0.7624  4 O 1.86-1.90
Cu: 0.1594 0.9388 0.2624  4 O 1.86-1.90

Values from the calculation:
Crystal system: monoclinic
Final energy (eV/f.u.): -70.4
Formation energy (eV/atom): -2.215
SG: P2_1/c, No. 14

***

[4]
Material: Na2CuS2O10
Method: DFT, PBE-GGA
State: optimized geometry

a b c (Å): 12.8491 5.4664 6.2460
angles (deg): 65.90 90.00 90.00
Closest atoms and distances in Å follow each position.
Fractional positions:
O: 0.1597 0.4284 0.0048  1 S 1.48
O: 0.8036 0.4487 0.4145  1 S 1.46
O: 0.9641 0.6723 0.2521  1 S 1.57
O: 0.0620 0.7861 0.7052  1 S 1.48
O: 0.4641 0.8277 0.7479  1 S 1.57
O: 0.3795 0.4850 0.1433  1 Cu 1.77
O: 0.6205 0.5150 0.8567  1 Cu 1.77
O: 0.5620 0.7139 0.2948  1 S 1.48
O: 0.8403 0.5716 0.9952  1 S 1.48
O: 0.6597 0.0716 0.9952  1 S 1.48
O: 0.3403 0.9284 0.0048  1 S 1.48
O: 0.5359 0.1723 0.2521  1 S 1.57
O: 0.3036 0.0513 0.5855  1 S 1.46
O: 0.1205 0.9850 0.1433  1 Cu 1.77
O: 0.0359 0.3277 0.7479  1 S 1.57
O: 0.8795 0.0150 0.8567  1 Cu 1.77
O: 0.4380 0.2861 0.7052  1 S 1.48
O: 0.9380 0.2139 0.2948  1 S 1.48
O: 0.1964 0.5513 0.5855  1 S 1.46
O: 0.6964 0.9487 0.4145  1 S 1.46
Na: 0.3655 0.7212 0.4211  7 O 2.40-2.66
Na: 0.1345 0.2212 0.4211  7 O 2.40-2.66
Na: 0.6345 0.2788 0.5789  7 O 2.40-2.66
Na: 0.8655 0.7788 0.5789  7 O 2.40-2.66
S: 0.8818 0.4681 0.2378  4 O 1.46-1.57
S: 0.3818 0.0319 0.7622  4 O 1.46-1.57
S: 0.6182 0.9681 0.2378  4 O 1.46-1.57
S: 0.1182 0.5319 0.7622  4 O 1.46-1.57
Cu: 0.5000 0.5000 0.0000  4 O 1.77-1.90
Cu: 0.0000 0.0000 0.0000  4 O 1.77-1.90

Values from the calculation:
Crystal system: monoclinic
Final energy (eV/f.u.): -80.2
Formation energy (eV/atom): -1.503
SG: P2_1/c, No. 14

***

[5]
Material: Na2Cu5TeS3O19
Method: DFT, PBE-GGA
State: optimized geometry

a b c (Å): 11.7665 7.4635 9.2814
angles (deg): 68.50 90.00 90.00
Closest atoms and distances in Å follow each position.
Fractional positions:
O: 0.9865 0.3847 0.7112  3 Cu 1.84-1.90
O: 0.8818 0.7753 0.0054  1 S 1.50
O: 0.3548 0.2557 0.4802  1 S 1.49
O: 0.0863 0.8135 0.9532  1 S 1.46
O: 0.4137 0.8135 0.9532  1 S 1.46
O: 0.8735 0.3571 0.4530  1 Te 1.93, 2 Cu 1.97-2.16
O: 0.0135 0.6153 0.2888  3 Cu 1.84-1.90
O: 0.4458 0.0216 0.2486  1 S 1.46
O: 0.3735 0.6429 0.5470  1 Te 1.93, 2 Cu 1.97-2.16
O: 0.8548 0.7443 0.5198  1 S 1.49
O: 0.9813 0.6323 0.8373  1 S 1.55
O: 0.2500 0.6665 0.2574  2 Cu 1.93, 1 Te 2.02
O: 0.3818 0.2247 0.9946  1 S 1.50
O: 0.1182 0.2247 0.9946  1 S 1.50
O: 0.1452 0.2557 0.4802  1 S 1.49
O: 0.2500 0.9592 0.6103  1 S 1.51
O: 0.9458 0.9784 0.7514  1 S 1.46
O: 0.2500 0.5474 0.8393  2 Cu 1.79
O: 0.9137 0.1865 0.0468  1 S 1.46
O: 0.4865 0.6153 0.2888  3 Cu 1.84-1.90
O: 0.5863 0.1865 0.0468  1 S 1.46
O: 0.7500 0.3335 0.7426  2 Cu 1.93, 1 Te 2.02
O: 0.7500 0.4526 0.1607  2 Cu 1.79
O: 0.7500 0.5835 0.8578  2 Cu 1.80
O: 0.5135 0.3847 0.7112  3 Cu 1.84-1.90
O: 0.2500 0.4165 0.1422  2 Cu 1.80
O: 0.6452 0.7443 0.5198  1 S 1.49
O: 0.5187 0.6323 0.8373  1 S 1.55
O: 0.6182 0.7753 0.0054  1 S 1.50
O: 0.5542 0.9784 0.7514  1 S 1.46
O: 0.0187 0.3677 0.1627  1 S 1.55
O: 0.4813 0.3677 0.1627  1 S 1.55
O: 0.1265 0.6429 0.5470  1 Te 1.93, 2 Cu 1.97-2.16
O: 0.7500 0.7852 0.2831  1 S 1.49
O: 0.6265 0.3571 0.4530  1 Te 1.93, 2 Cu 1.97-2.16
O: 0.7500 0.0408 0.3897  1 S 1.51
O: 0.0542 0.0216 0.2486  1 S 1.46
O: 0.2500 0.2148 0.7170  1 S 1.49
S: 0.0257 0.1916 0.1127  4 O 1.46-1.55
S: 0.7500 0.8254 0.4289  4 O 1.49-1.51
S: 0.4743 0.1916 0.1127  4 O 1.46-1.55
S: 0.5257 0.8084 0.8873  4 O 1.46-1.55
S: 0.9743 0.8084 0.8873  4 O 1.46-1.55
S: 0.2500 0.1746 0.5711  4 O 1.49-1.51
Cu: 0.8672 0.4901 0.7826  4 O 1.80-1.93
Cu: 0.6242 0.5499 0.2136  2 O 1.79-1.90
Cu: 0.8758 0.5499 0.2136  2 O 1.79-1.90
Cu: 0.3758 0.4501 0.7864  2 O 1.79-1.90
Cu: 0.6328 0.4901 0.7826  4 O 1.80-1.93
Cu: 0.1328 0.5099 0.2174  4 O 1.80-1.93
Cu: 0.0000 0.5000 0.5000  4 O 1.84-1.97
Cu: 0.3672 0.5099 0.2174  4 O 1.80-1.93
Cu: 0.5000 0.5000 0.5000  4 O 1.84-1.97
Cu: 0.1242 0.4501 0.7864  2 O 1.79-1.90
Na: 0.7500 0.0187 0.0328  5 O 2.33-2.47
Na: 0.2500 0.9813 0.9672  5 O 2.33-2.47
Na: 0.0000 0.0000 0.5000  4 O 2.37-2.52
Na: 0.5000 0.0000 0.5000  4 O 2.37-2.52
Te: 0.7500 0.2131 0.5799  3 O 1.93-2.02
Te: 0.2500 0.7869 0.4201  3 O 1.93-2.02

Values from the calculation:
Crystal system: monoclinic
Final energy (eV/f.u.): -163.3
Formation energy (eV/atom): -1.453
SG: P2_1/m, No. 11